No. 1
Computed, not measured: an optimized crystal structure of Rb6U2Cu12S15 at the PBE level of DFT.

a = 16.409 Å, b = 16.409 Å, c = 16.409 Å
α = 109.47°, β = 109.47°, γ = 109.47°
Atoms (fractional coordinates):
Rb: 0.092 0.842 0.184
Rb: 0.408 0.092 0.250
Rb: 0.842 0.658 0.250
Rb: 0.658 0.408 0.316
Rb: 0.184 0.092 0.842
Rb: 0.250 0.408 0.092
Rb: 0.250 0.842 0.658
Rb: 0.316 0.658 0.408
Rb: 0.842 0.184 0.092
Rb: 0.092 0.250 0.408
Rb: 0.658 0.250 0.842
Rb: 0.408 0.316 0.658
Rb: 0.908 0.158 0.816
Rb: 0.592 0.908 0.750
Rb: 0.158 0.342 0.750
Rb: 0.342 0.592 0.684
Rb: 0.816 0.908 0.158
Rb: 0.750 0.592 0.908
Rb: 0.750 0.158 0.342
Rb: 0.684 0.342 0.592
Rb: 0.158 0.816 0.908
Rb: 0.908 0.750 0.592
Rb: 0.342 0.750 0.158
Rb: 0.592 0.684 0.342
U: 0.000 0.500 0.000
U: 0.500 0.000 0.000
U: 0.000 0.000 0.500
U: 0.500 0.500 0.500
U: 0.000 0.500 0.500
U: 0.500 0.000 0.500
U: 0.500 0.500 0.000
U: 0.000 0.000 0.000
Cu: 0.135 0.567 0.916
Cu: 0.365 0.781 0.932
Cu: 0.849 0.933 0.568
Cu: 0.651 0.719 0.584
Cu: 0.916 0.135 0.567
Cu: 0.932 0.365 0.781
Cu: 0.568 0.849 0.933
Cu: 0.584 0.651 0.719
Cu: 0.567 0.916 0.135
Cu: 0.781 0.932 0.365
Cu: 0.933 0.568 0.849
Cu: 0.719 0.584 0.651
Cu: 0.865 0.433 0.084
Cu: 0.635 0.219 0.068
Cu: 0.151 0.067 0.432
Cu: 0.349 0.281 0.416
Cu: 0.084 0.865 0.433
Cu: 0.068 0.635 0.219
Cu: 0.432 0.151 0.067
Cu: 0.416 0.349 0.281
Cu: 0.433 0.084 0.865
Cu: 0.219 0.068 0.635
Cu: 0.067 0.432 0.151
Cu: 0.281 0.416 0.349
Cu: 0.067 0.635 0.416
Cu: 0.281 0.865 0.432
Cu: 0.433 0.349 0.068
Cu: 0.219 0.151 0.084
Cu: 0.635 0.416 0.067
Cu: 0.865 0.432 0.281
Cu: 0.349 0.068 0.433
Cu: 0.151 0.084 0.219
Cu: 0.416 0.067 0.635
Cu: 0.432 0.281 0.865
Cu: 0.068 0.433 0.349
Cu: 0.084 0.219 0.151
Cu: 0.933 0.365 0.584
Cu: 0.719 0.135 0.568
Cu: 0.567 0.651 0.932
Cu: 0.781 0.849 0.916
Cu: 0.365 0.584 0.933
Cu: 0.135 0.568 0.719
Cu: 0.651 0.932 0.567
Cu: 0.849 0.916 0.781
Cu: 0.584 0.933 0.365
Cu: 0.568 0.719 0.135
Cu: 0.932 0.567 0.651
Cu: 0.916 0.781 0.849
S: 0.839 0.421 0.829
S: 0.661 0.990 0.082
S: 0.909 0.079 0.418
S: 0.591 0.510 0.671
S: 0.829 0.839 0.421
S: 0.082 0.661 0.990
S: 0.418 0.909 0.079
S: 0.671 0.591 0.510
S: 0.421 0.829 0.839
S: 0.990 0.082 0.661
S: 0.079 0.418 0.909
S: 0.510 0.671 0.591
S: 0.161 0.579 0.171
S: 0.339 0.010 0.918
S: 0.091 0.921 0.582
S: 0.409 0.490 0.329
S: 0.171 0.161 0.579
S: 0.918 0.339 0.010
S: 0.582 0.091 0.921
S: 0.329 0.409 0.490
S: 0.579 0.171 0.161
S: 0.010 0.918 0.339
S: 0.921 0.582 0.091
S: 0.490 0.329 0.409
S: 0.921 0.339 0.329
S: 0.490 0.161 0.582
S: 0.579 0.409 0.918
S: 0.010 0.091 0.171
S: 0.339 0.329 0.921
S: 0.161 0.582 0.490
S: 0.409 0.918 0.579
S: 0.091 0.171 0.010
S: 0.329 0.921 0.339
S: 0.582 0.490 0.161
S: 0.918 0.579 0.409
S: 0.171 0.010 0.091
S: 0.079 0.661 0.671
S: 0.510 0.839 0.418
S: 0.421 0.591 0.082
S: 0.990 0.909 0.829
S: 0.661 0.671 0.079
S: 0.839 0.418 0.510
S: 0.591 0.082 0.421
S: 0.909 0.829 0.990
S: 0.671 0.079 0.661
S: 0.418 0.510 0.839
S: 0.082 0.421 0.591
S: 0.829 0.990 0.909
S: 0.250 0.125 0.375
S: 0.750 0.375 0.125
S: 0.375 0.250 0.125
S: 0.125 0.750 0.375
S: 0.125 0.375 0.250
S: 0.375 0.125 0.750
S: 0.750 0.875 0.625
S: 0.250 0.625 0.875
S: 0.625 0.750 0.875
S: 0.875 0.250 0.625
S: 0.875 0.625 0.750
S: 0.625 0.875 0.250

Calculated values
- energy of formation (eV per atom) = -1.0554
- space-group type = Ia-3d
- uncorrected energy (eV/atom) = -4.8314

No. 2
Computed, not measured: an optimized crystal structure of RbUCuS3 at the PBE level of DFT.

a = 7.646 Å, b = 7.646 Å, c = 10.308 Å
α = 90.00°, β = 90.00°, γ = 149.82°
Atoms (fractional coordinates):
Rb: 0.742 0.258 0.250
Rb: 0.258 0.742 0.750
U: 0.000 0.000 0.500
U: 0.000 0.000 0.000
Cu: 0.533 0.467 0.750
Cu: 0.467 0.533 0.250
S: 0.617 0.383 0.561
S: 0.383 0.617 0.439
S: 0.383 0.617 0.061
S: 0.943 0.057 0.750
S: 0.057 0.943 0.250
S: 0.617 0.383 0.939

Calculated values
- energy of formation (eV per atom) = -1.4644
- space-group type = Cmcm
- uncorrected energy (eV/atom) = -6.0096

No. 3
Computed, not measured: an optimized crystal structure of Rb2VCuS4 at the PBE level of DFT.

a = 13.761 Å, b = 12.262 Å, c = 7.339 Å
α = 85.26°, β = 62.63°, γ = 32.11°
Atoms (fractional coordinates):
Rb: 0.947 0.944 0.303
Rb: 0.300 0.302 0.954
Rb: 0.690 0.704 0.062
Rb: 0.057 0.050 0.700
V: 0.122 0.126 0.122
V: 0.876 0.875 0.868
Cu: 0.380 0.371 0.377
Cu: 0.627 0.623 0.630
S: 0.603 0.254 0.967
S: 0.692 0.956 0.248
S: 0.960 0.684 0.611
S: 0.250 0.602 0.682
S: 0.758 0.388 0.306
S: 0.322 0.030 0.745
S: 0.036 0.322 0.401
S: 0.389 0.754 0.041

Calculated values
- energy of formation (eV per atom) = -1.2688
- space-group type = P1
- E above lowest polymorph (meV per atom) = 12
- uncorrected energy (eV/atom) = -4.9785

No. 4
Computed, not measured: an optimized crystal structure of Rb2VCuS4 at the PBE level of DFT.

a = 13.761 Å, b = 12.262 Å, c = 7.339 Å
α = 85.26°, β = 62.63°, γ = 32.11°
Atoms (fractional coordinates):
Rb: 0.572 0.572 0.928
Rb: 0.928 0.928 0.572
Rb: 0.322 0.322 0.678
Rb: 0.678 0.678 0.322
V: 0.750 0.750 0.750
V: 0.500 0.500 0.500
Cu: 0.000 0.000 0.000
Cu: 0.250 0.250 0.250
S: 0.228 0.876 0.586
S: 0.309 0.586 0.876
S: 0.586 0.309 0.228
S: 0.876 0.228 0.309
S: 0.374 0.022 0.941
S: 0.941 0.664 0.374
S: 0.664 0.941 0.022
S: 0.022 0.374 0.664

Calculated values
- energy of formation (eV per atom) = -1.2805
- space-group type = Fddd
- E above lowest polymorph (meV per atom) = 0
- uncorrected energy (eV/atom) = -4.9903

No. 5
Computed, not measured: an optimized crystal structure of RbCu3SiSe4 at the PBE level of DFT.

a = 6.229 Å, b = 6.229 Å, c = 6.229 Å
α = 90.00°, β = 90.00°, γ = 90.00°
Atoms (fractional coordinates):
Rb: 0.500 0.500 0.500
Cu: 0.000 0.500 0.000
Cu: 0.000 0.000 0.500
Cu: 0.500 0.000 0.000
Si: 0.000 0.000 0.000
Se: 0.210 0.210 0.210
Se: 0.790 0.790 0.210
Se: 0.210 0.790 0.790
Se: 0.790 0.210 0.790

Calculated values
- energy of formation (eV per atom) = -0.5285
- space-group type = P-43m
- uncorrected energy (eV/atom) = -3.9506

No. 6
Computed, not measured: an optimized crystal structure of RbCu3SnSe4 at the PBE level of DFT.

a = 6.368 Å, b = 6.368 Å, c = 6.368 Å
α = 90.00°, β = 90.00°, γ = 90.00°
Atoms (fractional coordinates):
Rb: 0.500 0.500 0.500
Cu: 0.000 0.500 0.000
Cu: 0.000 0.000 0.500
Cu: 0.500 0.000 0.000
Sn: 0.000 0.000 0.000
Se: 0.225 0.225 0.225
Se: 0.775 0.775 0.225
Se: 0.225 0.775 0.775
Se: 0.775 0.225 0.775

Calculated values
- energy of formation (eV per atom) = -0.3887
- space-group type = P-43m
- uncorrected energy (eV/atom) = -3.6535

Among the records above, which one has the lowest energy of formation?
RbUCuS3

Look up the energy of formation of the third one.
-1.2688 eV per atom